1.
The following is a GGA+U calculation of crystalline Sr3La2Fe4CoO15 at its relaxed geometry, from the Materials Project.

a = 5.5266 Å, b = 5.5266 Å, c = 11.6748 Å
α = 103.76°, β = 103.76°, γ = 60.06°
Positions (direct):
Fe 0.3995 0.3995 0.1979
Fe 0.6005 0.6005 0.8021
Fe 0.2005 0.2005 0.6012
Fe 0.7995 0.7995 0.3988
O 0.5000 0.0000 0.5000
O 0.6018 0.0965 0.3008
O 0.2822 0.8089 0.8984
O 0.3982 0.9035 0.6992
O 0.9035 0.3982 0.6992
O 0.0000 0.0000 0.5000
O 0.8090 0.2822 0.8984
O 0.0965 0.6018 0.3008
O 0.6020 0.6020 0.3007
O 0.0000 0.5000 0.5000
O 0.1910 0.1909 0.1009
O 0.8090 0.8091 0.8991
O 0.3980 0.3980 0.6993
O 0.7178 0.1911 0.1016
O 0.1910 0.7178 0.1016
La 0.9038 0.9038 0.7105
La 0.0963 0.0962 0.2895
Co 0.0000 0.0000 0.0000
Sr 0.5000 0.5000 0.5000
Sr 0.3013 0.3013 0.9034
Sr 0.6987 0.6987 0.0966

corrected total energy (MP2020 scheme)	-7.61	eV per atom
energy of formation from the pure elements	-2.41	eV/atom
final energy	-169.404	eV/cell

=====

2.
The following is a GGA+U calculation of crystalline Cr4P2O9 at its relaxed geometry, from the Materials Project.

a = 12.0695 Å, b = 6.5364 Å, c = 9.5994 Å
α = 74.95°, β = 90.00°, γ = 90.00°
Positions (direct):
Cr 0.1106 0.9278 0.3890
Cr 0.8990 0.1813 0.9638
Cr 0.8689 0.5417 0.6911
Cr 0.6106 0.0722 0.1110
Cr 0.8831 0.7743 0.2535
Cr 0.6311 0.5417 0.1911
Cr 0.1311 0.4583 0.3089
Cr 0.3894 0.9278 0.8890
Cr 0.3689 0.4583 0.8089
Cr 0.1169 0.2257 0.7465
Cr 0.6169 0.7743 0.7535
Cr 0.1010 0.8187 0.0362
Cr 0.6010 0.1813 0.4638
Cr 0.3990 0.8187 0.5362
Cr 0.3831 0.2257 0.2465
Cr 0.8894 0.0722 0.6110
O 0.3968 0.1514 0.5078
O 0.3926 0.4899 0.5881
O 0.6118 0.1107 0.6994
O 0.4454 0.7546 0.7568
O 0.6032 0.8486 0.4922
O 0.8005 0.8193 0.7565
O 0.8926 0.5101 0.9119
O 0.3005 0.1807 0.7435
O 0.1118 0.8893 0.8006
O 0.0546 0.7546 0.2568
O 0.9454 0.2454 0.7432
O 0.8882 0.1107 0.1994
O 0.5546 0.2454 0.2432
O 0.2129 0.8719 0.5717
O 0.3457 0.5316 0.2581
O 0.7129 0.1281 0.9283
O 0.7871 0.1281 0.4283
O 0.1032 0.1514 0.0078
O 0.2871 0.8719 0.0717
O 0.6543 0.4684 0.7419
O 0.4830 0.7778 0.0889
O 0.5170 0.2222 0.9111
O 0.8968 0.8486 0.9922
O 0.1543 0.5316 0.7581
O 0.7096 0.6506 0.9910
O 0.1074 0.4899 0.0881
O 0.3882 0.8893 0.3006
O 0.2096 0.3494 0.5090
O 0.8457 0.4684 0.2419
O 0.0170 0.7778 0.5889
O 0.6074 0.5101 0.4119
O 0.6995 0.8193 0.2565
O 0.2904 0.3494 0.0090
O 0.9830 0.2222 0.4111
O 0.1995 0.1807 0.2435
O 0.7904 0.6506 0.4910
P 0.8244 0.7065 0.9241
P 0.6756 0.7065 0.4241
P 0.3751 0.7612 0.1842
P 0.1756 0.2935 0.0759
P 0.8751 0.2388 0.3158
P 0.3244 0.2935 0.5759
P 0.1249 0.7612 0.6842
P 0.6249 0.2388 0.8158

corrected total energy (MP2020 scheme)	-8.60	eV per atom
energy of formation from the pure elements	-2.34	eV/atom
final energy	-459.353	eV/cell

=====

3.
The following is a GGA+U calculation of crystalline MnH9CNCl3O2 at its relaxed geometry, from the Materials Project.

a = 9.0766 Å, b = 7.8007 Å, c = 11.6732 Å
α = 88.10°, β = 90.00°, γ = 90.00°
Positions (direct):
H 0.0050 0.8056 0.9425
H 0.2066 0.5521 0.0414
H 0.7066 0.4479 0.4586
H 0.3740 0.4610 0.2577
H 0.3513 0.3967 0.6628
H 0.7934 0.4479 0.9586
H 0.3302 0.8245 0.4004
H 0.6698 0.1755 0.5996
H 0.9313 0.4016 0.3494
H 0.1487 0.3967 0.1628
H 0.3212 0.1934 0.8688
H 0.0687 0.5984 0.6506
H 0.8302 0.1755 0.0996
H 0.8740 0.5390 0.2423
H 0.8015 0.3403 0.2616
H 0.5687 0.4016 0.8494
H 0.6788 0.8066 0.1312
H 0.9625 0.8345 0.5543
H 0.1260 0.4610 0.7577
H 0.4313 0.5984 0.1506
H 0.6260 0.5390 0.7423
H 0.2934 0.5521 0.5414
H 0.9950 0.1944 0.0575
H 0.8513 0.6033 0.8372
H 0.6985 0.3403 0.7616
H 0.1698 0.8245 0.9004
H 0.1985 0.6597 0.7384
H 0.8212 0.8066 0.6312
H 0.5050 0.1944 0.5575
H 0.6487 0.6033 0.3372
H 0.4950 0.8056 0.4425
H 0.4625 0.1655 0.9457
H 0.3015 0.6597 0.2384
H 0.1788 0.1934 0.3688
H 0.5375 0.8345 0.0543
H 0.0375 0.1655 0.4457
Cl 0.9032 0.7381 0.1161
Cl 0.5884 0.2633 0.1085
Cl 0.0884 0.7367 0.3915
Cl 0.2491 0.9854 0.6555
Cl 0.9116 0.2633 0.6085
Cl 0.5968 0.7381 0.6161
Cl 0.4116 0.7367 0.8915
Cl 0.0968 0.2619 0.8839
Cl 0.7509 0.0146 0.3445
Cl 0.7491 0.0146 0.8445
Cl 0.4032 0.2619 0.3839
Cl 0.2509 0.9854 0.1555
O 0.0665 0.8234 0.8734
O 0.4292 0.1761 0.8647
O 0.5665 0.1766 0.6266
O 0.9292 0.8239 0.6353
O 0.5708 0.8239 0.1353
O 0.0708 0.1761 0.3647
O 0.4335 0.8234 0.3734
O 0.9335 0.1766 0.1266
Mn 0.4997 0.9603 0.7504
Mn 0.5003 0.0397 0.2496
Mn 0.0003 0.9603 0.2504
Mn 0.9997 0.0397 0.7496
C 0.7724 0.5161 0.8779
C 0.2276 0.4839 0.1221
C 0.7276 0.5161 0.3779
C 0.2724 0.4839 0.6221
N 0.6603 0.4465 0.8045
N 0.8397 0.4465 0.3045
N 0.1603 0.5535 0.6955
N 0.3397 0.5535 0.1955

corrected total energy (MP2020 scheme)	-5.03	eV per atom
energy of formation from the pure elements	-0.76	eV/atom
final energy	-330.147	eV/cell

=====

4.
The following is a GGA+U calculation of crystalline Li2CrP8O24 at its relaxed geometry, from the Materials Project.

a = 7.2247 Å, b = 7.3607 Å, c = 9.8832 Å
α = 98.44°, β = 109.17°, γ = 109.96°
Positions (direct):
O 0.5416 0.2653 0.0572
O 0.0640 0.6300 0.3236
O 0.7711 0.9890 0.5463
O 0.9096 0.2588 0.1070
O 0.0176 0.1318 0.8284
O 0.5773 0.0402 0.8651
O 0.1098 0.7624 0.9041
O 0.2982 0.7039 0.6847
O 0.2118 0.0043 0.4201
O 0.8667 0.6876 0.5731
O 0.5095 0.3376 0.5901
O 0.9675 0.8365 0.1434
O 0.1493 0.3283 0.4164
O 0.7038 0.3049 0.3393
O 0.9416 0.3621 0.6686
O 0.7458 0.4139 0.9080
O 0.4731 0.7457 0.9697
O 0.6788 0.7497 0.8032
O 0.4263 0.9692 0.1617
O 0.8066 0.7935 0.3331
O 0.4889 0.6511 0.4000
O 0.3164 0.2587 0.2026
O 0.1744 0.1802 0.6359
O 0.2514 0.5928 0.1039
Cr 0.2005 0.4554 0.2545
Li 0.9951 0.5068 0.5157
Li 0.8081 0.5553 0.7508
P 0.9754 0.1740 0.6797
P 0.7125 0.2566 0.9870
P 0.2911 0.7576 0.0289
P 0.5040 0.8010 0.8241
P 0.2715 0.2288 0.5152
P 0.7301 0.7622 0.4688
P 0.0108 0.8081 0.2955
P 0.5019 0.2089 0.1993

corrected total energy (MP2020 scheme)	-7.42	eV per atom
energy of formation from the pure elements	-2.40	eV/atom
final energy	-241.048	eV/cell

=====

5.
The following is a GGA+U calculation of crystalline CrH6SO7 at its relaxed geometry, from the Materials Project.

a = 5.7872 Å, b = 7.5408 Å, c = 7.2984 Å
α = 88.09°, β = 66.66°, γ = 85.17°
Positions (direct):
H 0.4579 0.7071 0.8383
H 0.1763 0.1480 0.7917
H 0.4959 0.7819 0.3808
H 0.4234 0.2071 0.6088
H 0.4203 0.5177 0.9467
H 0.3917 0.9721 0.3267
H 0.0324 0.7077 0.3911
H 0.9681 0.6486 0.2082
H 0.2970 0.2073 0.1616
H 0.3674 0.0178 0.0534
H 0.7178 0.4717 0.6733
H 0.8760 0.2815 0.6193
S 0.8488 0.9262 0.7693
S 0.6180 0.4267 0.2307
O 0.4148 0.5834 0.8257
O 0.0272 0.7470 0.2631
O 0.5111 0.9127 0.3804
O 0.4656 0.3877 0.1150
O 0.9554 0.9982 0.9043
O 0.2412 0.0837 0.1742
O 0.8679 0.0550 0.6060
O 0.9964 0.7563 0.6728
O 0.4739 0.5554 0.3941
O 0.5807 0.8874 0.8851
O 0.6692 0.2568 0.3271
O 0.2901 0.2465 0.7368
O 0.8909 0.4122 0.6197
O 0.8595 0.4986 0.0958
Cr 0.1367 0.5070 0.7308
Cr 0.8678 0.0077 0.2691

corrected total energy (MP2020 scheme)	-6.15	eV per atom
energy of formation from the pure elements	-1.56	eV/atom
final energy	-170.796	eV/cell

=====

6.
The following is a GGA+U calculation of crystalline LiFeF4 at its relaxed geometry, from the Materials Project.

a = 8.9359 Å, b = 8.9820 Å, c = 9.9370 Å
α = 90.00°, β = 90.00°, γ = 90.00°
Positions (direct):
F 0.9180 0.6940 0.3730
F 0.0820 0.3060 0.6270
F 0.3746 0.1211 0.6998
F 0.7189 0.1209 0.1039
F 0.3746 0.3789 0.1998
F 0.0820 0.1940 0.1270
F 0.1011 0.5375 0.1390
F 0.7811 0.8791 0.6039
F 0.2189 0.3791 0.8961
F 0.2811 0.8791 0.8961
F 0.1254 0.6211 0.6998
F 0.6011 0.9625 0.8610
F 0.2189 0.1209 0.3961
F 0.8989 0.0375 0.3610
F 0.8989 0.4625 0.8610
F 0.6011 0.5375 0.3610
F 0.9180 0.8060 0.8730
F 0.4180 0.8060 0.6270
F 0.1254 0.8789 0.1998
F 0.8746 0.1211 0.8002
F 0.6254 0.6211 0.8002
F 0.5820 0.3060 0.8730
F 0.3989 0.4625 0.6390
F 0.6254 0.8789 0.3002
F 0.1011 0.9625 0.6390
F 0.4180 0.6940 0.1270
F 0.3989 0.0375 0.1390
F 0.7811 0.6209 0.1039
F 0.5820 0.1940 0.3730
F 0.8746 0.3789 0.3002
F 0.7189 0.3791 0.6039
F 0.2811 0.6209 0.3961
Li 0.2934 0.6428 0.5845
Li 0.2934 0.8572 0.0845
Li 0.7934 0.8572 0.4155
Li 0.7934 0.6428 0.9155
Li 0.7066 0.1428 0.9155
Li 0.7066 0.3572 0.4155
Li 0.2066 0.1428 0.5845
Li 0.2066 0.3572 0.0845
Fe 0.9221 0.9361 0.7295
Fe 0.9221 0.5639 0.2295
Fe 0.5779 0.0639 0.2295
Fe 0.0779 0.0639 0.2705
Fe 0.4221 0.9361 0.7705
Fe 0.4221 0.5639 0.2705
Fe 0.5779 0.4361 0.7295
Fe 0.0779 0.4361 0.7705

polymorph energy (0 for the lowest one)	0.099	eV per atom
corrected total energy (MP2020 scheme)	-5.73	eV per atom
energy of formation from the pure elements	-2.73	eV/atom
final energy	-242.303	eV/cell

=====

7.
The following is a GGA+U calculation of crystalline Li3MnPCO7 at its relaxed geometry, from the Materials Project.

a = 6.6283 Å, b = 10.0937 Å, c = 9.7567 Å
α = 117.85°, β = 90.00°, γ = 90.00°
Positions (direct):
Mn 0.2501 0.3382 0.6219
Mn 0.7501 0.6618 0.3782
Mn 0.2504 0.8384 0.1220
Mn 0.7504 0.1616 0.8780
O 0.7120 0.9899 0.3537
O 0.9413 0.8845 0.1115
O 0.2120 0.5101 0.1463
O 0.2652 0.5704 0.6532
O 0.7506 0.8718 0.5942
O 0.2652 0.0704 0.1531
O 0.2506 0.1282 0.4058
O 0.7651 0.4296 0.3468
O 0.2076 0.3076 0.3325
O 0.7076 0.6924 0.6675
O 0.5719 0.3442 0.5768
O 0.0719 0.6558 0.4232
O 0.2076 0.8076 0.8325
O 0.7652 0.9296 0.8469
O 0.9413 0.3845 0.6114
O 0.4413 0.1154 0.8884
O 0.2774 0.7904 0.3050
O 0.7120 0.4899 0.8537
O 0.2774 0.2904 0.8050
O 0.7774 0.2096 0.6950
O 0.2505 0.6282 0.9059
O 0.2120 0.0101 0.6463
O 0.0720 0.1558 0.9232
O 0.7774 0.7096 0.1950
O 0.7505 0.3718 0.0941
O 0.7076 0.1924 0.1675
O 0.5720 0.8442 0.0768
O 0.4413 0.6155 0.3886
P 0.2510 0.1403 0.8117
P 0.2510 0.6403 0.3118
P 0.7510 0.8597 0.1883
P 0.7510 0.3597 0.6882
Li 0.0229 0.4802 0.4793
Li 0.6982 0.1944 0.3733
Li 0.1982 0.8056 0.6267
Li 0.5229 0.0198 0.0206
Li 0.6982 0.6944 0.8733
Li 0.1982 0.3056 0.1267
Li 0.0229 0.9802 0.9794
Li 0.5229 0.5198 0.5207
Li 0.3860 0.4814 0.9600
Li 0.8862 0.0186 0.5400
Li 0.3861 0.9814 0.4600
Li 0.8860 0.5186 0.0400
C 0.2402 0.1690 0.2975
C 0.7402 0.3310 0.2024
C 0.2402 0.6690 0.7976
C 0.7402 0.8310 0.7024

polymorph energy (0 for the lowest one)	0.000	eV per atom
corrected total energy (MP2020 scheme)	-7.36	eV per atom
energy of formation from the pure elements	-2.42	eV/atom
final energy	-356.677	eV/cell

=====

8.
The following is a GGA+U calculation of crystalline MgMn3Zn2O8 at its relaxed geometry, from the Materials Project.

a = 5.3093 Å, b = 5.9030 Å, c = 6.0288 Å
α = 119.63°, β = 92.49°, γ = 90.04°
Positions (direct):
O 0.3768 0.3457 0.2608
O 0.3766 0.9172 0.2609
O 0.1681 0.4291 0.8591
O 0.6387 0.6621 0.7996
O 0.6388 0.1346 0.7996
O 0.8710 0.6219 0.2426
O 0.8295 0.1034 0.2049
O 0.1482 0.9197 0.8415
Mn 0.5003 0.0102 0.0202
Mn 0.0115 0.2752 0.0462
Mn 0.0114 0.7714 0.0469
Mg 0.8194 0.7989 0.6024
Zn 0.5034 0.5544 0.1082
Zn 0.4375 0.2894 0.5790

polymorph energy (0 for the lowest one)	0.049	eV per atom
corrected total energy (MP2020 scheme)	-7.03	eV per atom
energy of formation from the pure elements	-1.95	eV/atom
final energy	-87.983	eV/cell

=====

9.
The following is a GGA+U calculation of crystalline Eu2FeSnO6 at its relaxed geometry, from the Materials Project.

a = 5.6719 Å, b = 5.6719 Å, c = 5.6719 Å
α = 60.00°, β = 60.00°, γ = 60.00°
Positions (direct):
Sn 0.5000 0.5000 0.5000
Eu 0.2500 0.2500 0.2500
Eu 0.7500 0.7500 0.7500
Fe 0.0000 0.0000 0.0000
O 0.7539 0.2461 0.7539
O 0.7539 0.7539 0.2461
O 0.7539 0.2461 0.2461
O 0.2461 0.7539 0.2461
O 0.2461 0.2461 0.7539
O 0.2461 0.7539 0.7539

corrected total energy (MP2020 scheme)	-8.76	eV per atom
energy of formation from the pure elements	-2.49	eV/atom
final energy	-81.242	eV/cell

=====

10.
The following is a GGA+U calculation of crystalline Cr5O7 at its relaxed geometry, from the Materials Project.

a = 5.3024 Å, b = 5.3024 Å, c = 18.2395 Å
α = 90.00°, β = 90.00°, γ = 146.92°
Positions (direct):
O 0.3507 0.6493 0.5321
O 0.6493 0.3507 0.0321
O 0.8993 0.1007 0.4010
O 0.1542 0.8458 0.1605
O 0.6493 0.3507 0.4679
O 0.1007 0.8993 0.9010
O 0.1542 0.8458 0.3395
O 0.5409 0.4591 0.7500
O 0.8458 0.1542 0.8395
O 0.8458 0.1542 0.6605
O 0.4591 0.5409 0.2500
O 0.3507 0.6493 0.9679
O 0.1007 0.8993 0.5990
O 0.8993 0.1007 0.0990
Cr 0.2672 0.7328 0.0748
Cr 0.4647 0.5353 0.6597
Cr 0.4647 0.5353 0.8403
Cr 0.2672 0.7328 0.4252
Cr 0.7328 0.2672 0.9252
Cr 0.0000 0.0000 0.5000
Cr 0.5353 0.4647 0.1597
Cr 0.7328 0.2672 0.5748
Cr 0.0000 0.0000 0.0000
Cr 0.5353 0.4647 0.3403

corrected total energy (MP2020 scheme)	-8.79	eV per atom
energy of formation from the pure elements	-1.88	eV/atom
final energy	-181.382	eV/cell

=====

Record-wise total magnetic moment values, in Bohr magnetons per cell: 1.03; 64.00; 15.99; 0.02; 0.00; 40.00; 0.00; 11.00; 18.00; 0.00